A plane-wave DFT calculation with PBE-GGA was carried out for an optimized crystal structure of CaSn2P2O9.

Geometry as CIF:
```
data_CaSn2P2O9
_chemical_formula_sum 'Ca4 Sn8 P8 O36'
_symmetry_space_group_name_H-M 'P 1'
_symmetry_Int_Tables_number 1
_cell_length_a 15.631
_cell_length_b 6.728
_cell_length_c 8.181
_cell_angle_alpha 90.00
_cell_angle_beta 90.00
_cell_angle_gamma 90.00
loop_
_symmetry_equiv_pos_as_xyz
'x,y,z'
loop_
_atom_site_label
_atom_site_type_symbol
_atom_site_fract_x
_atom_site_fract_y
_atom_site_fract_z
_atom_site_occupancy
Ca1 Ca 0.222 0.250 0.045 1
Ca2 Ca 0.278 0.750 0.545 1
Ca3 Ca 0.722 0.250 0.455 1
Ca4 Ca 0.778 0.750 0.955 1
Sn1 Sn 0.000 0.000 0.000 1
Sn2 Sn 0.000 0.500 0.000 1
Sn3 Sn 0.116 0.250 0.636 1
Sn4 Sn 0.384 0.750 0.136 1
Sn5 Sn 0.500 0.000 0.500 1
Sn6 Sn 0.500 0.500 0.500 1
Sn7 Sn 0.616 0.250 0.864 1
Sn8 Sn 0.884 0.750 0.364 1
P1 P 0.066 0.750 0.612 1
P2 P 0.205 0.750 0.108 1
P3 P 0.295 0.250 0.608 1
P4 P 0.434 0.250 0.112 1
P5 P 0.566 0.750 0.888 1
P6 P 0.705 0.750 0.392 1
P7 P 0.795 0.250 0.892 1
P8 P 0.934 0.250 0.388 1
O1 O 0.005 0.750 0.462 1
O2 O 0.015 0.750 0.772 1
O3 O 0.078 0.250 0.866 1
O4 O 0.129 0.569 0.599 1
O5 O 0.129 0.931 0.599 1
O6 O 0.153 0.557 0.091 1
O7 O 0.153 0.943 0.091 1
O8 O 0.219 0.250 0.476 1
O9 O 0.243 0.250 0.771 1
O10 O 0.257 0.750 0.271 1
O11 O 0.281 0.750 0.976 1
O12 O 0.347 0.057 0.591 1
O13 O 0.347 0.443 0.591 1
O14 O 0.371 0.069 0.099 1
O15 O 0.371 0.431 0.099 1
O16 O 0.422 0.750 0.366 1
O17 O 0.485 0.250 0.272 1
O18 O 0.495 0.250 0.962 1
O19 O 0.505 0.750 0.038 1
O20 O 0.515 0.750 0.728 1
O21 O 0.578 0.250 0.634 1
O22 O 0.629 0.569 0.901 1
O23 O 0.629 0.931 0.901 1
O24 O 0.653 0.557 0.409 1
O25 O 0.653 0.943 0.409 1
O26 O 0.719 0.250 0.024 1
O27 O 0.743 0.250 0.729 1
O28 O 0.757 0.750 0.229 1
O29 O 0.781 0.750 0.524 1
O30 O 0.847 0.057 0.909 1
O31 O 0.847 0.443 0.909 1
O32 O 0.871 0.069 0.401 1
O33 O 0.871 0.431 0.401 1
O34 O 0.922 0.750 0.134 1
O35 O 0.985 0.250 0.228 1
O36 O 0.995 0.250 0.538 1
```

Values from the calculation:
Space-group type: Pnma
Calculated formation energy: -2.560 eV per atom
Magnetization: 0.0 μB per formula unit

---

A plane-wave DFT calculation with PBE-GGA was carried out for an optimized crystal structure of Na6Zn2Si5Ge6S7O48.

Geometry as CIF:
```
data_Na6Zn2Si5Ge6S7O48
_chemical_formula_sum 'Na18 Zn6 Si15 Ge18 S21 O144'
_symmetry_space_group_name_H-M 'P 1'
_symmetry_Int_Tables_number 1
_cell_length_a 8.754
_cell_length_b 14.749
_cell_length_c 22.075
_cell_angle_alpha 89.53
_cell_angle_beta 89.48
_cell_angle_gamma 89.96
loop_
_symmetry_equiv_pos_as_xyz
'x,y,z'
loop_
_atom_site_label
_atom_site_type_symbol
_atom_site_fract_x
_atom_site_fract_y
_atom_site_fract_z
_atom_site_occupancy
Na1 Na 0.000 0.000 0.000 1
Na2 Na 0.000 0.019 0.497 1
Na3 Na 0.182 0.851 0.410 1
Na4 Na 0.286 0.351 0.915 1
Na5 Na 0.468 0.521 0.001 1
Na6 Na 0.478 0.501 0.498 1
Na7 Na 0.483 0.175 0.168 1
Na8 Na 0.483 0.181 0.666 1
Na9 Na 0.484 0.847 0.334 1
Na10 Na 0.492 0.835 0.832 1
Na11 Na 0.629 0.682 0.407 1
Na12 Na 0.650 0.998 0.404 1
Na13 Na 0.816 0.497 0.910 1
Na14 Na 0.838 0.181 0.914 1
Na15 Na 0.978 0.334 0.329 1
Na16 Na 0.982 0.684 0.166 1
Na17 Na 0.987 0.345 0.839 1
Na18 Na 0.991 0.682 0.670 1
Zn1 Zn 0.007 0.679 0.803 1
Zn2 Zn 0.463 0.177 0.301 1
Zn3 Zn 0.483 0.179 0.817 1
Zn4 Zn 0.483 0.845 0.476 1
Zn5 Zn 0.985 0.344 0.978 1
Zn6 Zn 0.988 0.680 0.315 1
Si1 Si 0.116 0.150 0.241 1
Si2 Si 0.121 0.544 0.914 1
Si3 Si 0.123 0.197 0.585 1
Si4 Si 0.185 0.168 0.908 1
Si5 Si 0.282 0.667 0.411 1
Si6 Si 0.343 0.044 0.413 1
Si7 Si 0.349 0.990 0.080 1
Si8 Si 0.351 0.699 0.087 1
Si9 Si 0.355 0.648 0.741 1
Si10 Si 0.619 0.321 0.912 1
Si11 Si 0.626 0.369 0.247 1
Si12 Si 0.688 0.341 0.582 1
Si13 Si 0.782 0.841 0.081 1
Si14 Si 0.844 0.869 0.747 1
Si15 Si 0.846 0.823 0.411 1
Ge1 Ge 0.002 0.005 0.138 1
Ge2 Ge 0.004 0.017 0.352 1
Ge3 Ge 0.011 0.678 0.509 1
Ge4 Ge 0.020 0.685 0.026 1
Ge5 Ge 0.447 0.173 0.010 1
Ge6 Ge 0.455 0.185 0.523 1
Ge7 Ge 0.466 0.505 0.344 1
Ge8 Ge 0.467 0.523 0.859 1
Ge9 Ge 0.483 0.510 0.146 1
Ge10 Ge 0.495 0.841 0.991 1
Ge11 Ge 0.496 0.502 0.646 1
Ge12 Ge 0.500 0.849 0.176 1
Ge13 Ge 0.510 0.839 0.691 1
Ge14 Ge 0.961 0.337 0.189 1
Ge15 Ge 0.969 0.338 0.487 1
Ge16 Ge 0.971 0.337 0.681 1
Ge17 Ge 0.990 0.001 0.851 1
Ge18 Ge 0.991 0.010 0.645 1
S1 S 0.121 0.489 0.580 1
S2 S 0.145 0.865 0.244 1
S3 S 0.146 0.823 0.916 1
S4 S 0.189 0.508 0.243 1
S5 S 0.190 0.838 0.582 1
S6 S 0.275 0.342 0.084 1
S7 S 0.277 0.006 0.743 1
S8 S 0.322 0.324 0.418 1
S9 S 0.323 0.364 0.743 1
S10 S 0.624 0.658 0.247 1
S11 S 0.630 0.021 0.914 1
S12 S 0.630 0.989 0.584 1
S13 S 0.647 0.694 0.581 1
S14 S 0.690 0.685 0.915 1
S15 S 0.705 0.998 0.244 1
S16 S 0.775 0.184 0.416 1
S17 S 0.778 0.499 0.745 1
S18 S 0.829 0.196 0.081 1
S19 S 0.840 0.490 0.084 1
S20 S 0.844 0.157 0.747 1
S21 S 0.847 0.524 0.419 1
O1 O 0.021 0.582 0.860 1
O2 O 0.028 0.109 0.303 1
O3 O 0.032 0.252 0.238 1
O4 O 0.042 0.579 0.575 1
O5 O 0.043 0.241 0.525 1
O6 O 0.048 0.094 0.590 1
O7 O 0.053 0.449 0.637 1
O8 O 0.064 0.080 0.901 1
O9 O 0.067 0.093 0.182 1
O10 O 0.069 0.915 0.911 1
O11 O 0.073 0.252 0.920 1
O12 O 0.073 0.439 0.922 1
O13 O 0.075 0.788 0.974 1
O14 O 0.078 0.774 0.246 1
O15 O 0.084 0.584 0.248 1
O16 O 0.085 0.908 0.189 1
O17 O 0.086 0.920 0.586 1
O18 O 0.089 0.600 0.978 1
O19 O 0.090 0.753 0.580 1
O20 O 0.093 0.432 0.526 1
O21 O 0.097 0.261 0.644 1
O22 O 0.103 0.915 0.302 1
O23 O 0.109 0.420 0.239 1
O24 O 0.117 0.771 0.862 1
O25 O 0.152 0.366 0.740 1
O26 O 0.155 0.041 0.405 1
O27 O 0.156 0.339 0.429 1
O28 O 0.163 0.003 0.085 1
O29 O 0.165 0.687 0.082 1
O30 O 0.174 0.335 0.138 1
O31 O 0.175 0.654 0.745 1
O32 O 0.180 0.689 0.354 1
O33 O 0.180 0.996 0.799 1
O34 O 0.182 0.640 0.474 1
O35 O 0.183 0.025 0.688 1
O36 O 0.195 0.352 0.026 1
O37 O 0.272 0.847 0.525 1
O38 O 0.283 0.141 0.969 1
O39 O 0.283 0.496 0.300 1
O40 O 0.284 0.190 0.850 1
O41 O 0.286 0.829 0.636 1
O42 O 0.287 0.501 0.583 1
O43 O 0.289 0.526 0.190 1
O44 O 0.296 0.155 0.244 1
O45 O 0.308 0.189 0.581 1
O46 O 0.310 0.544 0.909 1
O47 O 0.311 0.834 0.922 1
O48 O 0.315 0.864 0.244 1
O49 O 0.341 0.269 0.365 1
O50 O 0.356 0.917 0.738 1
O51 O 0.362 0.415 0.799 1
O52 O 0.372 0.101 0.479 1
O53 O 0.372 0.924 0.022 1
O54 O 0.373 0.259 0.082 1
O55 O 0.375 0.764 0.145 1
O56 O 0.376 0.425 0.088 1
O57 O 0.385 0.080 0.747 1
O58 O 0.385 0.272 0.744 1
O59 O 0.388 0.407 0.686 1
O60 O 0.394 0.291 0.476 1
O61 O 0.394 0.751 0.422 1
O62 O 0.394 0.939 0.422 1
O63 O 0.398 0.415 0.410 1
O64 O 0.398 0.591 0.680 1
O65 O 0.404 0.579 0.402 1
O66 O 0.426 0.596 0.093 1
O67 O 0.426 0.738 0.025 1
O68 O 0.430 0.091 0.070 1
O69 O 0.433 0.951 0.140 1
O70 O 0.441 0.749 0.737 1
O71 O 0.445 0.605 0.801 1
O72 O 0.450 0.084 0.361 1
O73 O 0.514 0.273 0.970 1
O74 O 0.525 0.422 0.902 1
O75 O 0.542 0.418 0.189 1
O76 O 0.548 0.747 0.246 1
O77 O 0.552 0.941 0.638 1
O78 O 0.558 0.930 0.923 1
O79 O 0.562 0.080 0.584 1
O80 O 0.562 0.615 0.306 1
O81 O 0.563 0.269 0.252 1
O82 O 0.567 0.428 0.589 1
O83 O 0.574 0.760 0.924 1
O84 O 0.575 0.055 0.856 1
O85 O 0.578 0.601 0.587 1
O86 O 0.578 0.604 0.194 1
O87 O 0.580 0.252 0.571 1
O88 O 0.583 0.733 0.526 1
O89 O 0.595 0.432 0.310 1
O90 O 0.600 0.593 0.913 1
O91 O 0.601 0.084 0.966 1
O92 O 0.602 0.913 0.243 1
O93 O 0.607 0.940 0.529 1
O94 O 0.612 0.079 0.243 1
O95 O 0.618 0.751 0.636 1
O96 O 0.628 0.254 0.856 1
O97 O 0.655 0.874 0.742 1
O98 O 0.663 0.194 0.078 1
O99 O 0.670 0.497 0.092 1
O100 O 0.672 0.847 0.426 1
O101 O 0.677 0.816 0.140 1
O102 O 0.677 0.865 0.023 1
O103 O 0.678 0.166 0.745 1
O104 O 0.679 0.175 0.471 1
O105 O 0.680 0.497 0.689 1
O106 O 0.680 0.512 0.420 1
O107 O 0.692 0.484 0.802 1
O108 O 0.700 0.202 0.360 1
O109 O 0.764 0.701 0.858 1
O110 O 0.784 0.672 0.969 1
O111 O 0.785 0.985 0.304 1
O112 O 0.790 0.662 0.247 1
O113 O 0.792 0.346 0.928 1
O114 O 0.793 0.321 0.641 1
O115 O 0.795 0.368 0.524 1
O116 O 0.799 0.997 0.593 1
O117 O 0.801 0.012 0.914 1
O118 O 0.808 0.994 0.192 1
O119 O 0.815 0.375 0.240 1
O120 O 0.816 0.684 0.577 1
O121 O 0.841 0.752 0.357 1
O122 O 0.861 0.254 0.137 1
O123 O 0.864 0.442 0.028 1
O124 O 0.866 0.096 0.414 1
O125 O 0.868 0.580 0.742 1
O126 O 0.873 0.931 0.809 1
O127 O 0.874 0.588 0.472 1
O128 O 0.881 0.415 0.740 1
O129 O 0.889 0.263 0.423 1
O130 O 0.891 0.103 0.088 1
O131 O 0.891 0.752 0.070 1
O132 O 0.893 0.107 0.692 1
O133 O 0.897 0.928 0.089 1
O134 O 0.901 0.116 0.804 1
O135 O 0.902 0.234 0.027 1
O136 O 0.904 0.558 0.361 1
O137 O 0.907 0.581 0.084 1
O138 O 0.907 0.769 0.751 1
O139 O 0.914 0.442 0.138 1
O140 O 0.922 0.249 0.746 1
O141 O 0.924 0.918 0.688 1
O142 O 0.929 0.435 0.427 1
O143 O 0.938 0.923 0.402 1
O144 O 0.952 0.779 0.469 1
```

Values from the calculation:
Space-group type: P1
Calculated formation energy: -2.140 eV per atom
Magnetization: 0.0 μB per formula unit

---

A plane-wave DFT calculation with PBE-GGA was carried out for an optimized crystal structure of Bi.

Geometry as CIF:
```
data_Bi
_chemical_formula_sum 'Bi2'
_symmetry_space_group_name_H-M 'P 1'
_symmetry_Int_Tables_number 1
_cell_length_a 4.689
_cell_length_b 4.689
_cell_length_c 3.359
_cell_angle_alpha 106.21
_cell_angle_beta 106.21
_cell_angle_gamma 83.84
loop_
_symmetry_equiv_pos_as_xyz
'x,y,z'
loop_
_atom_site_label
_atom_site_type_symbol
_atom_site_fract_x
_atom_site_fract_y
_atom_site_fract_z
_atom_site_occupancy
Bi1 Bi 0.247 0.247 0.143 1
Bi2 Bi 0.753 0.753 0.857 1
```

Values from the calculation:
Space-group type: C2/m
Calculated formation energy: 0.050 eV per atom
Excess energy over the best structure of this formula in the dataset: 50 meV per atom
Magnetization: 0.0 μB per formula unit

---

A plane-wave DFT calculation with PBE-GGA was carried out for an optimized crystal structure of Th5Sn4.

Geometry as CIF:
```
data_Th5Sn4
_chemical_formula_sum 'Th20 Sn16'
_symmetry_space_group_name_H-M 'P 1'
_symmetry_Int_Tables_number 1
_cell_length_a 8.314
_cell_length_b 15.849
_cell_length_c 8.444
_cell_angle_alpha 90.00
_cell_angle_beta 90.00
_cell_angle_gamma 90.00
loop_
_symmetry_equiv_pos_as_xyz
'x,y,z'
loop_
_atom_site_label
_atom_site_type_symbol
_atom_site_fract_x
_atom_site_fract_y
_atom_site_fract_z
_atom_site_occupancy
Th1 Th 0.019 0.099 0.180 1
Th2 Th 0.019 0.401 0.180 1
Th3 Th 0.128 0.622 0.338 1
Th4 Th 0.128 0.878 0.338 1
Th5 Th 0.192 0.250 0.498 1
Th6 Th 0.308 0.750 0.998 1
Th7 Th 0.372 0.122 0.838 1
Th8 Th 0.372 0.378 0.838 1
Th9 Th 0.481 0.599 0.680 1
Th10 Th 0.481 0.901 0.680 1
Th11 Th 0.519 0.099 0.320 1
Th12 Th 0.519 0.401 0.320 1
Th13 Th 0.628 0.622 0.162 1
Th14 Th 0.628 0.878 0.162 1
Th15 Th 0.692 0.250 0.002 1
Th16 Th 0.808 0.750 0.502 1
Th17 Th 0.872 0.122 0.662 1
Th18 Th 0.872 0.378 0.662 1
Th19 Th 0.981 0.599 0.820 1
Th20 Th 0.981 0.901 0.820 1
Sn1 Sn 0.066 0.250 0.888 1
Sn2 Sn 0.178 0.750 0.640 1
Sn3 Sn 0.212 0.043 0.533 1
Sn4 Sn 0.212 0.457 0.533 1
Sn5 Sn 0.288 0.543 0.033 1
Sn6 Sn 0.288 0.957 0.033 1
Sn7 Sn 0.322 0.250 0.140 1
Sn8 Sn 0.434 0.750 0.388 1
Sn9 Sn 0.566 0.250 0.612 1
Sn10 Sn 0.678 0.750 0.860 1
Sn11 Sn 0.712 0.043 0.967 1
Sn12 Sn 0.712 0.457 0.967 1
Sn13 Sn 0.788 0.543 0.467 1
Sn14 Sn 0.788 0.957 0.467 1
Sn15 Sn 0.822 0.250 0.360 1
Sn16 Sn 0.934 0.750 0.112 1
```

Values from the calculation:
Space-group type: Pnma
Calculated formation energy: -0.538 eV per atom
Excess energy over the best structure of this formula in the dataset: 52 meV per atom
Magnetization: 0.0 μB per formula unit

---

A plane-wave DFT calculation with PBE-GGA was carried out for an optimized crystal structure of Mg6MnV.

Geometry as CIF:
```
data_Mg6MnV
_chemical_formula_sum 'Mg12 Mn2 V2'
_symmetry_space_group_name_H-M 'P 1'
_symmetry_Int_Tables_number 1
_cell_length_a 4.942
_cell_length_b 6.207
_cell_length_c 10.622
_cell_angle_alpha 90.00
_cell_angle_beta 90.00
_cell_angle_gamma 90.00
loop_
_symmetry_equiv_pos_as_xyz
'x,y,z'
loop_
_atom_site_label
_atom_site_type_symbol
_atom_site_fract_x
_atom_site_fract_y
_atom_site_fract_z
_atom_site_occupancy
Mg1 Mg 0.000 0.761 0.588 1
Mg2 Mg 0.000 0.239 0.588 1
Mg3 Mg 0.000 0.000 0.334 1
Mg4 Mg 0.500 0.739 0.413 1
Mg5 Mg 0.500 0.261 0.413 1
Mg6 Mg 0.500 0.000 0.165 1
Mg7 Mg 0.000 0.261 0.088 1
Mg8 Mg 0.000 0.739 0.088 1
Mg9 Mg 0.000 0.500 0.834 1
Mg10 Mg 0.500 0.239 0.913 1
Mg11 Mg 0.500 0.761 0.913 1
Mg12 Mg 0.500 0.500 0.665 1
Mn1 Mn 0.000 0.000 0.833 1
Mn2 Mn 0.000 0.500 0.333 1
V1 V 0.500 0.000 0.665 1
V2 V 0.500 0.500 0.165 1
```

Values from the calculation:
Calculated formation energy: 0.265 eV per atom
Magnetization: 6.6 μB per formula unit

---

A plane-wave DFT calculation with PBE-GGA was carried out for an optimized crystal structure of LiTm2Os.

Geometry as CIF:
```
data_LiTm2Os
_chemical_formula_sum 'Li1 Tm2 Os1'
_symmetry_space_group_name_H-M 'P 1'
_symmetry_Int_Tables_number 1
_cell_length_a 4.840
_cell_length_b 4.840
_cell_length_c 4.840
_cell_angle_alpha 60.00
_cell_angle_beta 60.00
_cell_angle_gamma 60.00
loop_
_symmetry_equiv_pos_as_xyz
'x,y,z'
loop_
_atom_site_label
_atom_site_type_symbol
_atom_site_fract_x
_atom_site_fract_y
_atom_site_fract_z
_atom_site_occupancy
Li1 Li 0.000 0.000 0.000 1
Tm1 Tm 0.250 0.250 0.250 1
Tm2 Tm 0.750 0.750 0.750 1
Os1 Os 0.500 0.500 0.500 1
```

Values from the calculation:
Space-group type: Fm-3m
Calculated formation energy: -0.296 eV per atom

---

A plane-wave DFT calculation with PBE-GGA was carried out for an optimized crystal structure of Li2PtO6.

Geometry as CIF:
```
data_Li2PtO6
_chemical_formula_sum 'Li2 Pt1 O6'
_symmetry_space_group_name_H-M 'P 1'
_symmetry_Int_Tables_number 1
_cell_length_a 5.514
_cell_length_b 5.514
_cell_length_c 3.800
_cell_angle_alpha 97.49
_cell_angle_beta 97.49
_cell_angle_gamma 114.21
loop_
_symmetry_equiv_pos_as_xyz
'x,y,z'
loop_
_atom_site_label
_atom_site_type_symbol
_atom_site_fract_x
_atom_site_fract_y
_atom_site_fract_z
_atom_site_occupancy
Li1 Li 0.152 0.848 0.000 1
Li2 Li 0.848 0.152 0.000 1
Pt1 Pt 0.500 0.500 0.000 1
O1 O 0.179 0.179 0.804 1
O2 O 0.265 0.607 0.318 1
O3 O 0.393 0.735 0.682 1
O4 O 0.607 0.265 0.318 1
O5 O 0.735 0.393 0.682 1
O6 O 0.821 0.821 0.196 1
```

Values from the calculation:
Space-group type: C2/m
Calculated formation energy: -0.786 eV per atom
Excess energy over the best structure of this formula in the dataset: 0 meV per atom
Magnetization: 2.0 μB per formula unit

---

A plane-wave DFT calculation with PBE-GGA was carried out for an optimized crystal structure of Mg2CrN2.

Geometry as CIF:
```
data_Mg2CrN2
_chemical_formula_sum 'Mg4 Cr2 N4'
_symmetry_space_group_name_H-M 'P 1'
_symmetry_Int_Tables_number 1
_cell_length_a 5.437
_cell_length_b 5.437
_cell_length_c 6.055
_cell_angle_alpha 114.39
_cell_angle_beta 114.39
_cell_angle_gamma 48.47
loop_
_symmetry_equiv_pos_as_xyz
'x,y,z'
loop_
_atom_site_label
_atom_site_type_symbol
_atom_site_fract_x
_atom_site_fract_y
_atom_site_fract_z
_atom_site_occupancy
Mg1 Mg 0.026 0.026 0.263 1
Mg2 Mg 0.324 0.324 0.893 1
Mg3 Mg 0.676 0.676 0.107 1
Mg4 Mg 0.974 0.974 0.737 1
Cr1 Cr 0.361 0.361 0.370 1
Cr2 Cr 0.639 0.639 0.630 1
N1 N 0.178 0.178 0.105 1
N2 N 0.486 0.486 0.721 1
N3 N 0.514 0.514 0.279 1
N4 N 0.822 0.822 0.895 1
```

Values from the calculation:
Space-group type: C2/m
Calculated formation energy: -0.650 eV per atom
Magnetization: 0.0 μB per formula unit

---

Among the records above, which one has the lowest calculated formation energy?
CaSn2P2O9

---

The highest calculated formation energy belongs to which entry?
Mg6MnV